# LiCoS2O8

An optimized crystal structure of LiCoS2O8 (PBE with a Hubbard U, the Materials Project database).

Cell: 8.292 8.360 8.850 Å, 90.42 117.14 119.54°
Element x y z (fractional)
Li  0.000  0.000  0.000
Li  0.125  0.738  0.080
Li  0.360  0.376  0.081
Co  0.026  0.503  0.520
Co  0.612  0.807  0.395
Co  0.613  0.295  0.896
S  0.104  0.405  0.202
S  0.110  0.199  0.703
S  0.525  0.898  0.706
S  0.534  0.120  0.202
S  0.813  0.686  0.207
S  0.819  0.613  0.703
O  0.030  0.206  0.154
O  0.079  0.193  0.854
O  0.137  0.467  0.377
O  0.176  0.394  0.680
O  0.291  0.174  0.744
O  0.307  0.771  0.678
O  0.319  0.534  0.215
O  0.361  0.153  0.157
O  0.451  0.917  0.214
O  0.508  0.854  0.530
O  0.588  0.133  0.061
O  0.590  0.103  0.742
O  0.630  0.493  0.065
O  0.659  0.475  0.748
O  0.684  0.872  0.843
O  0.697  0.643  0.536
O  0.702  0.773  0.229
O  0.731  0.254  0.376
O  0.913  0.050  0.537
O  0.926  0.522  0.676
O  0.930  0.657  0.378
O  0.952  0.450  0.063
O  0.966  0.808  0.155
O  0.992  0.792  0.852

Values from the calculation:
For the energy of formation, the calculation gives -1.76 eV per atom. The value obtained for the relative energy among the computed polymorphs is 0.007 eV per atom. As for the crystal system: triclinic. The calculation puts the total energy at -212.6 eV for the cell shown.

# Li3V4FeO12

An optimized crystal structure of Li3V4FeO12 (PBE with a Hubbard U, the Materials Project database).

Cell: 7.736 7.742 10.236 Å, 110.68 101.08 106.15°
Element x y z (fractional)
Li  0.000  0.000  0.000
Li  0.108  0.862  0.251
Li  0.275  0.528  0.751
Li  0.498  0.005  0.502
Li  0.611  0.865  0.751
Li  0.775  0.528  0.251
V  0.350  0.149  0.780
V  0.362  0.557  0.217
V  0.395  0.961  0.035
V  0.423  0.363  0.466
V  0.837  0.150  0.285
V  0.866  0.573  0.721
V  0.903  0.958  0.537
V  0.918  0.371  0.966
Fe  0.175  0.676  0.506
Fe  0.668  0.673  0.996
O  0.066  0.639  0.670
O  0.091  0.106  0.702
O  0.161  0.405  0.055
O  0.204  0.862  0.080
O  0.280  0.128  0.422
O  0.310  0.736  0.340
O  0.331  0.102  0.949
O  0.356  0.537  0.580
O  0.394  0.957  0.652
O  0.417  0.402  0.299
O  0.455  0.780  0.922
O  0.466  0.400  0.831
O  0.557  0.654  0.174
O  0.600  0.123  0.203
O  0.652  0.386  0.553
O  0.706  0.860  0.574
O  0.783  0.137  0.928
O  0.801  0.746  0.849
O  0.847  0.111  0.447
O  0.849  0.544  0.082
O  0.894  0.975  0.162
O  0.902  0.394  0.801
O  0.959  0.773  0.421
O  0.977  0.388  0.328

Values from the calculation:
For the energy of formation, the calculation gives -2.32 eV per atom. The value obtained for the relative energy among the computed polymorphs is 0.015 eV per atom. As for the crystal system: triclinic. The calculation puts the total energy at -277.9 eV for the cell shown.

# CrO

An optimized crystal structure of CrO (PBE with a Hubbard U, the Materials Project database).

Cell: 3.778 4.938 5.389 Å, 90.00 93.40 90.00°
Element x y z (fractional)
Cr  0.250  0.250  0.000
Cr  0.250  0.750  0.500
Cr  0.750  0.250  0.500
Cr  0.750  0.750  0.000
O  0.000  0.013  0.250
O  0.000  0.987  0.750
O  0.500  0.487  0.750
O  0.500  0.513  0.250

Values from the calculation:
For the energy of formation, the calculation gives -1.88 eV per atom. As for the crystal system: monoclinic. The calculation puts the total energy at -62.7 eV for the cell shown.

# TiP6W3O24

An optimized crystal structure of TiP6W3O24 (PBE with a Hubbard U, the Materials Project database).

Cell: 8.925 8.925 8.925 Å, 58.92 58.92 58.92°
Element x y z (fractional)
Ti  0.000  0.000  0.000
P  0.104  0.682  0.387
P  0.175  0.610  0.892
P  0.387  0.104  0.682
P  0.610  0.892  0.175
P  0.682  0.387  0.104
P  0.892  0.175  0.610
W  0.284  0.284  0.284
W  0.499  0.499  0.499
W  0.784  0.784  0.784
O  0.007  0.632  0.861
O  0.063  0.201  0.430
O  0.077  0.855  0.217
O  0.131  0.509  0.361
O  0.140  0.780  0.923
O  0.201  0.430  0.063
O  0.217  0.077  0.855
O  0.270  0.653  0.420
O  0.351  0.582  0.724
O  0.361  0.131  0.509
O  0.420  0.270  0.653
O  0.430  0.063  0.201
O  0.509  0.361  0.131
O  0.561  0.927  0.705
O  0.582  0.724  0.351
O  0.632  0.861  0.007
O  0.653  0.420  0.270
O  0.705  0.561  0.927
O  0.724  0.351  0.582
O  0.780  0.923  0.140
O  0.855  0.217  0.077
O  0.861  0.007  0.632
O  0.923  0.140  0.780
O  0.927  0.705  0.561

Values from the calculation:
For the energy of formation, the calculation gives -2.61 eV per atom. As for the crystal system: trigonal. The calculation puts the total energy at -257.0 eV for the cell shown.

# Li6VFe5O12

An optimized crystal structure of Li6VFe5O12 (PBE with a Hubbard U, the Materials Project database).

Cell: 4.978 5.010 10.082 Å, 86.12 82.36 60.24°
Element x y z (fractional)
Li  0.000  0.000  0.000
Li  0.089  0.329  0.519
Li  0.326  0.333  0.003
Li  0.418  0.669  0.519
Li  0.657  0.665  0.007
Li  0.750  0.002  0.521
V  0.025  0.672  0.761
Fe  0.208  0.331  0.261
Fe  0.381  0.996  0.761
Fe  0.538  0.668  0.262
Fe  0.711  0.334  0.761
Fe  0.871  0.002  0.261
O  0.011  0.349  0.879
O  0.064  0.987  0.643
O  0.195  0.644  0.368
O  0.261  0.000  0.150
O  0.331  0.668  0.877
O  0.384  0.349  0.646
O  0.485  0.999  0.373
O  0.551  0.355  0.153
O  0.693  0.987  0.882
O  0.748  0.668  0.641
O  0.841  0.352  0.370
O  0.906  0.645  0.155

Values from the calculation:
For the energy of formation, the calculation gives -1.90 eV per atom. The value obtained for the relative energy among the computed polymorphs is 0.066 eV per atom. As for the crystal system: triclinic. The calculation puts the total energy at -146.7 eV for the cell shown.

# TiMn3O8

An optimized crystal structure of TiMn3O8 (PBE with a Hubbard U, the Materials Project database).

Cell: 5.787 5.787 9.036 Å, 90.00 90.00 120.00°
Element x y z (fractional)
Ti  0.333  0.667  0.000
Ti  0.667  0.333  0.500
Mn  0.168  0.337  0.716
Mn  0.168  0.832  0.716
Mn  0.337  0.168  0.216
Mn  0.663  0.832  0.716
Mn  0.832  0.168  0.216
Mn  0.832  0.663  0.216
O  0.000  0.000  0.319
O  0.000  0.000  0.819
O  0.040  0.520  0.837
O  0.167  0.334  0.103
O  0.167  0.833  0.103
O  0.333  0.667  0.606
O  0.334  0.167  0.603
O  0.480  0.520  0.837
O  0.480  0.960  0.837
O  0.520  0.040  0.337
O  0.520  0.480  0.337
O  0.666  0.833  0.103
O  0.667  0.333  0.106
O  0.833  0.167  0.603
O  0.833  0.666  0.603
O  0.960  0.480  0.337

Values from the calculation:
For the energy of formation, the calculation gives -2.19 eV per atom. The value obtained for the relative energy among the computed polymorphs is 0.000 eV per atom. As for the crystal system: hexagonal. The calculation puts the total energy at -181.4 eV for the cell shown.

# AlV2O4

An optimized crystal structure of AlV2O4 (PBE with a Hubbard U, the Materials Project database).

Cell: 5.926 5.986 10.183 Å, 72.97 73.25 60.88°
Element x y z (fractional)
Al  0.061  0.065  0.315
Al  0.438  0.433  0.185
Al  0.562  0.567  0.815
Al  0.939  0.935  0.685
V  0.000  0.000  0.000
V  0.000  0.500  0.000
V  0.000  0.500  0.500
V  0.253  0.254  0.744
V  0.500  0.000  0.000
V  0.500  0.000  0.500
V  0.500  0.500  0.500
V  0.747  0.746  0.256
O  0.121  0.632  0.624
O  0.126  0.119  0.623
O  0.127  0.618  0.123
O  0.129  0.129  0.125
O  0.368  0.882  0.378
O  0.376  0.377  0.879
O  0.378  0.364  0.375
O  0.381  0.874  0.877
O  0.619  0.126  0.123
O  0.622  0.636  0.625
O  0.624  0.623  0.121
O  0.632  0.118  0.622
O  0.871  0.871  0.875
O  0.873  0.382  0.877
O  0.874  0.881  0.377
O  0.879  0.368  0.376

Values from the calculation:
For the energy of formation, the calculation gives -2.73 eV per atom. The value obtained for the relative energy among the computed polymorphs is 0.030 eV per atom. As for the crystal system: triclinic. The calculation puts the total energy at -218.8 eV for the cell shown.

# TiNiO3

An optimized crystal structure of TiNiO3 (PBE with a Hubbard U, the Materials Project database).

Cell: 5.063 5.489 21.010 Å, 85.70 89.87 62.64°
Element x y z (fractional)
Ti  0.000  0.000  0.000
Ti  0.000  0.002  0.143
Ti  0.197  0.609  0.741
Ti  0.206  0.614  0.594
Ti  0.394  0.207  0.341
Ti  0.400  0.199  0.200
Ti  0.487  0.043  0.634
Ti  0.596  0.803  0.800
Ti  0.599  0.803  0.943
Ti  0.793  0.404  0.402
Ni  0.080  0.834  0.437
Ni  0.108  0.781  0.300
Ni  0.291  0.419  0.041
Ni  0.309  0.382  0.900
Ni  0.510  0.995  0.495
Ni  0.693  0.618  0.241
Ni  0.710  0.580  0.101
Ni  0.786  0.427  0.538
Ni  0.891  0.221  0.841
Ni  0.903  0.192  0.700
O  0.008  0.649  0.959
O  0.027  0.231  0.056
O  0.052  0.512  0.815
O  0.148  0.093  0.924
O  0.167  0.379  0.684
O  0.187  0.954  0.780
O  0.226  0.260  0.564
O  0.236  0.848  0.656
O  0.252  0.110  0.415
O  0.325  0.722  0.523
O  0.372  0.975  0.281
O  0.387  0.556  0.379
O  0.408  0.849  0.159
O  0.426  0.431  0.256
O  0.456  0.704  0.016
O  0.548  0.292  0.124
O  0.573  0.577  0.881
O  0.590  0.150  0.979
O  0.603  0.454  0.759
O  0.626  0.033  0.856
O  0.631  0.316  0.621
O  0.731  0.904  0.721
O  0.765  0.176  0.477
O  0.775  0.784  0.586
O  0.804  0.053  0.357
O  0.824  0.643  0.456
O  0.855  0.904  0.216
O  0.948  0.492  0.324
O  0.973  0.775  0.081
O  0.991  0.349  0.179

Values from the calculation:
For the energy of formation, the calculation gives -2.58 eV per atom. As for the crystal system: triclinic. The calculation puts the total energy at -368.0 eV for the cell shown.